Record 1
This record from the Materials Project describes a geometry-optimized U structure. The functional is GGA-PBE.

Computed properties:
V: 20.6 Å³ per atom
energy relative to the elements: 0.04 eV/atom
excess energy over the best structure of this formula in the dataset: 3.81 kJ/mol of atoms

Lattice parameters (Å, degrees): 6.608 4.891 5.098 90.00 90.00 90.00
Space group Pnma (No. 62)
Inequivalent atoms, fractional coordinates:
U1 0.046 0.250 0.200
U2 0.207 0.750 0.314

=====

Record 2
This record from the Materials Project describes a geometry-optimized YMn2 structure. The functional is GGA-PBE.

Computed properties:
V: 22.5 Å³ per atom
energy relative to the elements: 0.75 eV/atom

Lattice parameters (Å, degrees): 6.460 6.460 6.460 90.00 90.00 90.00
Space group F-43m (No. 216)
Inequivalent atoms, fractional coordinates:
Y1 0.000 0.000 0.000
Mn1 0.000 0.000 0.500
Mn2 0.250 0.250 0.750

=====

Record 3
This record from the Materials Project describes a geometry-optimized Mg17Al11Au structure. The functional is GGA-PBE.

Computed properties:
V: 19.9 Å³ per atom
energy relative to the elements: -0.07 eV/atom

Lattice parameters (Å, degrees): 10.511 14.708 9.123 90.00 124.96 90.00
Space group Cm (No. 8)
Inequivalent atoms, fractional coordinates:
Mg1 0.000 0.000 0.000
Mg2 0.001 0.342 0.942
Mg3 0.015 0.329 0.342
Mg4 0.025 0.000 0.628
Mg5 0.144 0.199 0.657
Mg6 0.237 0.500 0.048
Mg7 0.301 0.359 0.341
Mg8 0.329 0.302 0.025
Mg9 0.340 0.000 0.683
Mg10 0.343 0.000 0.343
Mg11 0.396 0.345 0.735
Al1 0.028 0.500 0.159
Al2 0.067 0.091 0.341
Al3 0.118 0.408 0.705
Al4 0.160 0.183 0.157
Al5 0.251 0.093 0.975
Al6 0.345 0.183 0.527
Au1 0.211 0.500 0.516

=====

Record 4
This record from the Materials Project describes a geometry-optimized Ba3FeN3 structure. The functional is GGA-PBE.

Computed properties:
V: 23.3 Å³ per atom
energy relative to the elements: -0.71 eV/atom

Lattice parameters (Å, degrees): 8.1760 8.1760 5.6287 90.00 90.00 120.00
Space group P6_3/m (No. 176)
Inequivalent atoms, fractional coordinates:
Ba1 0.0824 0.7188 0.2500
Fe1 0.3333 0.6667 0.7500
N1 0.1295 0.6830 0.7500

=====

Record 5
This record from the Materials Project describes a geometry-optimized GdH6C6Cl3O9F6 structure. The functional is GGA-PBE.

Computed properties:
V: 14.7 Å³ per atom
energy relative to the elements: -1.57 eV/atom

Lattice parameters (Å, degrees): 9.519 19.839 10.563 90.00 113.96 90.00
Space group P2_1/c (No. 14)
Inequivalent atoms, fractional coordinates:
Gd1 0.197 0.070 0.021
H1 0.074 0.219 0.016
H2 0.177 0.215 0.926
H3 0.363 0.111 0.333
H4 0.385 0.177 0.261
H5 0.480 0.563 0.272
H6 0.495 0.011 0.830
C1 0.141 0.584 0.405
C2 0.148 0.541 0.759
C3 0.167 0.651 0.339
C4 0.231 0.561 0.916
C5 0.340 0.170 0.831
C6 0.436 0.164 0.742
Cl1 0.033 0.655 0.164
Cl2 0.238 0.649 0.940
Cl3 0.310 0.150 0.565
O1 0.011 0.561 0.700
O2 0.021 0.584 0.429
O3 0.132 0.189 0.982
O4 0.225 0.505 0.712
O5 0.236 0.537 0.426
O6 0.283 0.227 0.831
O7 0.329 0.116 0.892
O8 0.347 0.131 0.244
O9 0.473 0.036 0.144
F1 0.145 0.705 0.410
F2 0.156 0.531 0.989
F3 0.312 0.657 0.344
F4 0.379 0.537 0.975
F5 0.461 0.612 0.717
F6 0.480 0.721 0.749

=====

Record 6
This record from the Materials Project describes a geometry-optimized UGe12Pt4 structure. The functional is GGA-PBE.

Computed properties:
V: 19.4 Å³ per atom
energy relative to the elements: -0.26 eV/atom

Lattice parameters (Å, degrees): 8.712 8.712 8.712 90.00 90.00 90.00
Space group Im-3 (No. 204)
Inequivalent atoms, fractional coordinates:
U1 0.000 0.000 0.000
Ge1 0.000 0.352 0.150
Pt1 0.250 0.250 0.250

=====

Record 7
This record from the Materials Project describes a geometry-optimized Ba2LaCl7 structure. The functional is GGA-PBE.

Computed properties:
V: 32.5 Å³ per atom
energy relative to the elements: -2.84 eV/atom
excess energy over the best structure of this formula in the dataset: 7.79 kJ/mol of atoms

Lattice parameters (Å, degrees): 7.573 14.059 12.238 90.00 92.87 90.00
Space group P2_1/c (No. 14)
Inequivalent atoms, fractional coordinates:
Ba1 0.182 0.056 0.201
Ba2 0.292 0.133 0.716
La1 0.297 0.734 0.026
Cl1 0.015 0.118 0.904
Cl2 0.031 0.744 0.356
Cl3 0.148 0.573 0.143
Cl4 0.352 0.187 0.401
Cl5 0.357 0.574 0.889
Cl6 0.437 0.588 0.600
Cl7 0.498 0.689 0.356

=====

Record 8
This record from the Materials Project describes a geometry-optimized Be2Tl2CuO6F8 structure. The functional is GGA-PBE.

Computed properties:
V: 15.5 Å³ per atom
energy relative to the elements: -1.73 eV/atom

Lattice parameters (Å, degrees): 5.075 14.015 9.118 90.00 115.11 90.00
Space group P2_1/c (No. 14)
Inequivalent atoms, fractional coordinates:
Be1 0.212 0.138 0.050
Tl1 0.456 0.611 0.729
Cu1 0.000 0.000 0.500
O1 0.159 0.627 0.969
O2 0.284 0.676 0.092
O3 0.335 0.063 0.540
F1 0.144 0.642 0.493
F2 0.193 0.118 0.873
F3 0.340 0.051 0.160
F4 0.349 0.234 0.122